Record 1
Crystalline Fe4As4H4O19 at its relaxed geometry. Source: the Materials Project, functional GGA+U.

Values from the calculation:
SG: No. 1
V in Å³/atom: 12.43
Energy of formation from the pure elements in eV per atom: -1.47
Size of the total moment in μB per atom: 0.645
Raw total energy in eV/atom: -5.927

Geometry as POSCAR:
```
Fe4As4H4O19
1.0
-1.647 -4.248 -4.897
-5.129 -3.518 2.451
-4.968 7.551 -1.743
Fe As H O
4 4 4 19
direct
0.646 0.130 0.310
0.355 0.871 0.692
0.826 0.211 0.021
0.173 0.790 0.978
0.804 0.009 0.684
0.196 0.991 0.317
0.708 0.753 0.057
0.292 0.248 0.943
0.724 0.502 0.379
0.289 0.500 0.595
0.477 0.558 0.292
0.522 0.439 0.710
0.457 0.795 0.933
0.542 0.206 0.068
0.859 0.883 0.987
0.141 0.119 0.013
0.742 0.224 0.800
0.257 0.777 0.200
0.595 0.448 0.345
0.406 0.554 0.661
0.638 0.847 0.663
0.360 0.155 0.339
0.820 0.497 0.060
0.180 0.504 0.941
0.797 0.101 0.516
0.203 0.895 0.484
0.065 0.865 0.754
0.935 0.137 0.247
0.693 0.837 0.235
0.307 0.164 0.765
0.008 0.516 0.467
```

=====

Record 2
Crystalline Fe2As2H2PbO10 at its relaxed geometry. Source: the Materials Project, functional GGA+U.

Values from the calculation:
SG: No. 12
V in Å³/atom: 12.11
Energy of formation from the pure elements in eV per atom: -1.63
Size of the total moment in μB per atom: 0.588
Raw total energy in eV/atom: -6.033

Geometry as POSCAR:
```
Fe2As2H2PbO10
1.0
-5.171 1.962 -0.863
-2.278 -2.239 -4.597
-5.205 -5.359 1.997
Fe As H Pb O
2 2 2 1 10
direct
0.500 0.000 0.500
0.000 0.500 0.500
0.581 0.581 0.214
0.419 0.419 0.786
0.795 0.795 0.732
0.205 0.205 0.268
0.000 0.000 0.000
0.689 0.689 0.360
0.311 0.311 0.640
0.825 0.825 0.593
0.175 0.175 0.407
0.688 0.240 0.267
0.312 0.760 0.733
0.760 0.312 0.733
0.240 0.688 0.267
0.279 0.279 0.011
0.721 0.721 0.989
```

=====

Record 3
Crystalline Fe2AsH19SO18 at its relaxed geometry. Source: the Materials Project, functional GGA+U.

Values from the calculation:
SG: No. 2
V in Å³/atom: 9.54
Energy of formation from the pure elements in eV per atom: -1.42
Size of the total moment in μB per atom: 0.244
Raw total energy in eV/atom: -5.382

Geometry as POSCAR:
```
Fe2AsH19SO18
1.0
-2.774 -2.963 -6.479
7.717 -7.010 0.605
-8.641 -2.003 6.568
Fe As H S O
4 2 38 2 36
direct
0.693 0.199 0.723
0.307 0.801 0.277
0.866 0.179 0.420
0.134 0.821 0.580
0.269 0.118 0.545
0.731 0.882 0.455
0.694 0.062 0.877
0.306 0.938 0.123
0.518 0.137 0.900
0.482 0.863 0.100
0.424 0.585 0.850
0.576 0.415 0.150
0.384 0.422 0.815
0.616 0.578 0.185
0.863 0.480 0.212
0.137 0.520 0.788
0.036 0.399 0.192
0.964 0.601 0.808
0.023 0.227 0.900
0.977 0.773 0.100
0.038 0.133 0.743
0.962 0.867 0.257
0.800 0.446 0.480
0.200 0.554 0.520
0.920 0.404 0.361
0.080 0.596 0.639
0.024 0.110 0.193
0.976 0.890 0.807
0.821 0.027 0.155
0.179 0.973 0.845
0.692 0.431 0.970
0.308 0.569 0.030
0.760 0.498 0.877
0.240 0.502 0.123
0.376 0.409 0.384
0.624 0.591 0.616
0.255 0.345 0.458
0.745 0.655 0.542
0.885 0.356 0.659
0.115 0.644 0.341
0.497 0.101 0.354
0.503 0.899 0.646
0.549 0.202 0.282
0.451 0.798 0.718
0.287 0.205 0.086
0.713 0.795 0.914
0.133 0.220 0.496
0.867 0.780 0.504
0.805 0.264 0.606
0.195 0.736 0.394
0.153 0.024 0.611
0.847 0.976 0.389
0.639 0.145 0.876
0.361 0.855 0.124
0.442 0.231 0.671
0.558 0.769 0.329
0.210 0.106 0.136
0.790 0.894 0.864
0.332 0.119 0.950
0.668 0.881 0.050
0.723 0.407 0.879
0.277 0.593 0.121
0.349 0.007 0.403
0.651 0.993 0.597
0.906 0.111 0.223
0.094 0.889 0.777
0.451 0.294 0.186
0.549 0.706 0.814
0.958 0.186 0.805
0.042 0.814 0.195
0.596 0.145 0.328
0.404 0.855 0.672
0.155 0.301 0.071
0.845 0.699 0.929
0.874 0.372 0.426
0.126 0.628 0.574
0.346 0.516 0.866
0.654 0.484 0.134
0.981 0.473 0.261
0.019 0.527 0.739
0.315 0.433 0.461
0.685 0.567 0.539
```

=====

Record 4
Crystalline ZnFe2As2H2O10 at its relaxed geometry. Source: the Materials Project, functional GGA+U.

Values from the calculation:
SG: No. 14
V in Å³/atom: 11.60
Energy of formation from the pure elements in eV per atom: -1.65
Size of the total moment in μB per atom: 0.588
Raw total energy in eV/atom: -5.907

Geometry as POSCAR:
```
ZnFe2As2H2O10
1.0
7.811 0.000 0.000
0.000 6.752 0.000
0.000 6.572 7.476
Zn Fe As H O
2 4 4 4 20
direct
0.000 0.500 0.500
0.500 0.500 0.000
0.363 0.966 0.264
0.863 0.034 0.236
0.137 0.966 0.764
0.637 0.034 0.736
0.626 0.609 0.633
0.126 0.391 0.867
0.874 0.609 0.133
0.374 0.391 0.367
0.619 0.107 0.048
0.119 0.893 0.452
0.881 0.107 0.548
0.381 0.893 0.952
0.119 0.294 0.745
0.634 0.271 0.787
0.445 0.717 0.506
0.810 0.728 0.505
0.310 0.272 0.995
0.115 0.886 0.357
0.945 0.283 0.994
0.615 0.114 0.143
0.134 0.729 0.713
0.619 0.706 0.755
0.381 0.294 0.245
0.866 0.271 0.287
0.385 0.886 0.857
0.055 0.717 0.006
0.885 0.114 0.643
0.690 0.728 0.005
0.190 0.272 0.495
0.555 0.283 0.494
0.366 0.729 0.213
0.881 0.706 0.255
```